[1]
First-principles (meta-GGA r2SCAN) data for a geometry-optimized La2Cu5Ni5 structure, as listed in the Materials Project.

a b c (Å): 3.938 5.081 8.744
angles (deg): 90.00 90.00 90.00
Fractional positions:
Cu 0.500 0.500 0.500
Cu 0.000 0.000 0.834
Cu 0.000 0.500 0.330
Cu 0.000 0.000 0.166
Cu 0.000 0.500 0.670
La 0.000 0.000 0.500
La 0.000 0.500 0.000
Ni 0.500 0.249 0.249
Ni 0.500 0.751 0.751
Ni 0.500 0.000 0.000
Ni 0.500 0.751 0.249
Ni 0.500 0.249 0.751

space group	Pmmm (47)
DFT total energy	-14.687	eV per atom
ΔE_f	-0.2175	eV per atom
size of the total moment	0.00	Bohr magnetons per cell



[2]
First-principles (meta-GGA r2SCAN) data for a geometry-optimized MnB2W2 structure, as listed in the Materials Project.

a b c (Å): 3.156 5.811 5.811
angles (deg): 90.00 90.00 90.00
Fractional positions:
W 0.500 0.178 0.678
W 0.500 0.822 0.322
W 0.500 0.322 0.178
W 0.500 0.678 0.822
B 0.000 0.613 0.113
B 0.000 0.887 0.613
B 0.000 0.387 0.887
B 0.000 0.113 0.387
Mn 0.000 0.500 0.500
Mn 0.000 0.000 0.000

space group	P4/mbm (127)
DFT total energy	-26.858	eV per atom
ΔE_f	-0.4354	eV per atom
size of the total moment	5.09	Bohr magnetons per cell



[3]
First-principles (meta-GGA r2SCAN) data for a geometry-optimized Mg3Au structure, as listed in the Materials Project.

a b c (Å): 8.028 8.028 8.509
angles (deg): 90.00 90.00 120.00
Fractional positions:
Mg 0.721 0.000 0.083
Mg 0.667 0.333 0.206
Mg 0.000 0.375 0.926
Mg 0.625 0.625 0.926
Mg 0.279 0.000 0.583
Mg 0.375 0.000 0.926
Mg 0.000 0.000 0.324
Mg 0.000 0.000 0.824
Mg 0.375 0.375 0.426
Mg 0.667 0.333 0.706
Mg 0.000 0.625 0.426
Mg 0.721 0.721 0.583
Mg 0.333 0.667 0.706
Mg 0.333 0.667 0.206
Mg 0.279 0.279 0.083
Mg 0.000 0.279 0.583
Mg 0.000 0.721 0.083
Mg 0.625 0.000 0.426
Au 0.329 0.329 0.754
Au 0.671 0.000 0.754
Au 0.000 0.329 0.254
Au 0.329 0.000 0.254
Au 0.671 0.671 0.254
Au 0.000 0.671 0.754

space group	P6_3cm (185)
energy above the most stable polymorph in this dataset	0.000	eV/atom
DFT total energy	-16.203	eV per atom
ΔE_f	-0.4300	eV per atom
size of the total moment	0.00	Bohr magnetons per cell



[4]
First-principles (meta-GGA r2SCAN) data for a geometry-optimized CeCo2 structure, as listed in the Materials Project.

a b c (Å): 4.947 4.947 4.947
angles (deg): 60.00 60.00 60.00
Fractional positions:
Co 0.500 0.000 0.500
Co 0.500 0.500 0.000
Co 0.500 0.500 0.500
Co 0.000 0.500 0.500
Ce 0.875 0.875 0.875
Ce 0.125 0.125 0.125

space group	Fd-3m (227)
DFT total energy	-19.146	eV per atom
ΔE_f	-0.0430	eV per atom
size of the total moment	0.00	Bohr magnetons per cell



Q: Among the records above, which one has the highest ΔE_f?
A: CeCo2



What did the first record say?
First-principles (meta-GGA r2SCAN) data for a geometry-optimized La2Cu5Ni5 structure, as listed in the Materials Project.

a b c (Å): 3.938 5.081 8.744
angles (deg): 90.00 90.00 90.00
Fractional positions:
Cu 0.500 0.500 0.500
Cu 0.000 0.000 0.834
Cu 0.000 0.500 0.330
Cu 0.000 0.000 0.166
Cu 0.000 0.500 0.670
La 0.000 0.000 0.500
La 0.000 0.500 0.000
Ni 0.500 0.249 0.249
Ni 0.500 0.751 0.751
Ni 0.500 0.000 0.000
Ni 0.500 0.751 0.249
Ni 0.500 0.249 0.751

space group	Pmmm (47)
DFT total energy	-14.687	eV per atom
ΔE_f	-0.2175	eV per atom
size of the total moment	0.00	Bohr magnetons per cell



Copy entry 2 word for word.
First-principles (meta-GGA r2SCAN) data for a geometry-optimized MnB2W2 structure, as listed in the Materials Project.

a b c (Å): 3.156 5.811 5.811
angles (deg): 90.00 90.00 90.00
Fractional positions:
W 0.500 0.178 0.678
W 0.500 0.822 0.322
W 0.500 0.322 0.178
W 0.500 0.678 0.822
B 0.000 0.613 0.113
B 0.000 0.887 0.613
B 0.000 0.387 0.887
B 0.000 0.113 0.387
Mn 0.000 0.500 0.500
Mn 0.000 0.000 0.000

space group	P4/mbm (127)
DFT total energy	-26.858	eV per atom
ΔE_f	-0.4354	eV per atom
size of the total moment	5.09	Bohr magnetons per cell